Entry 1:
Co2RuN3: optimized geometry, PBE.

Properties
* energy relative to the elements: 0.235 eV per atom
* E_tot: -7.6675 eV per atom
* magnetization: 0.00 μB per formula unit

a b c (Å): 5.797 5.797 9.235
angles (deg): 91.16 91.16 129.06
Positions (direct):
Co1 0.042 0.404 0.394
Co2 0.058 0.452 0.870
Co3 0.404 0.042 0.894
Co4 0.452 0.058 0.370
Co5 0.548 0.942 0.630
Co6 0.596 0.958 0.106
Co7 0.942 0.548 0.130
Co8 0.958 0.596 0.606
Ru1 0.261 0.289 0.170
Ru2 0.289 0.261 0.670
Ru3 0.711 0.739 0.330
Ru4 0.739 0.711 0.830
N1 0.026 0.737 0.954
N2 0.087 0.913 0.250
N3 0.258 0.535 0.572
N4 0.263 0.974 0.546
N5 0.321 0.679 0.250
N6 0.465 0.742 0.928
N7 0.535 0.258 0.072
N8 0.679 0.321 0.750
N9 0.737 0.026 0.454
N10 0.742 0.465 0.428
N11 0.913 0.087 0.750
N12 0.974 0.263 0.046

***

Entry 2:
Er6GaCo2: optimized geometry, PBE.

Properties
* energy relative to the elements: -0.306 eV per atom
* E_tot: -5.2669 eV per atom
* magnetization: 0.00 μB per formula unit

a b c (Å): 8.232 8.232 8.232
angles (deg): 111.89 110.19 106.38
Positions (direct):
Er1 0.032 0.233 0.800
Er2 0.183 0.283 0.466
Er3 0.183 0.717 0.900
Er4 0.319 0.015 0.696
Er5 0.319 0.623 0.304
Er6 0.433 0.233 0.200
Er7 0.567 0.767 0.800
Er8 0.681 0.377 0.696
Er9 0.681 0.985 0.304
Er10 0.817 0.283 0.100
Er11 0.817 0.717 0.534
Er12 0.968 0.767 0.200
Ga1 0.000 0.000 0.000
Ga2 0.500 0.500 0.000
Co1 0.114 0.614 0.500
Co2 0.375 0.000 0.375
Co3 0.625 0.000 0.625
Co4 0.886 0.386 0.500

***

Entry 3:
MgSnO2: optimized geometry, PBE.

Properties
* energy relative to the elements: -2.165 eV per atom
* E_tot: -5.6982 eV per atom
* magnetization: 0.00 μB per formula unit
* energy relative to the lowest polymorph listed for this composition: 0 meV per atom

a b c (Å): 3.190 8.760 9.016
angles (deg): 92.34 97.64 93.77
Positions (direct):
Mg1 0.068 0.244 0.050
Mg2 0.422 0.421 0.759
Mg3 0.578 0.579 0.241
Mg4 0.932 0.756 0.950
Sn1 0.017 0.679 0.599
Sn2 0.444 0.056 0.735
Sn3 0.556 0.944 0.265
Sn4 0.983 0.321 0.401
O1 0.037 0.050 0.158
O2 0.134 0.567 0.377
O3 0.389 0.641 0.815
O4 0.481 0.748 0.106
O5 0.519 0.252 0.894
O6 0.611 0.359 0.185
O7 0.866 0.433 0.623
O8 0.963 0.950 0.842

***

Entry 4:
Sm4FeS7: optimized geometry, PBE.

Properties
* energy relative to the elements: -1.930 eV per atom
* E_tot: -6.3279 eV per atom
* magnetization: 4.00 μB per formula unit

a b c (Å): 9.702 9.702 6.837
angles (deg): 90.00 90.00 120.00
Positions (direct):
Sm1 0.151 0.375 0.000
Sm2 0.223 0.849 0.000
Sm3 0.333 0.667 0.452
Sm4 0.375 0.223 0.500
Sm5 0.625 0.777 0.000
Sm6 0.667 0.333 0.952
Sm7 0.777 0.151 0.500
Sm8 0.849 0.625 0.500
Fe1 0.000 0.000 0.335
Fe2 0.000 0.000 0.835
S1 0.072 0.563 0.235
S2 0.099 0.230 0.605
S3 0.131 0.901 0.605
S4 0.230 0.131 0.105
S5 0.333 0.667 0.837
S6 0.437 0.509 0.235
S7 0.491 0.928 0.235
S8 0.509 0.072 0.735
S9 0.563 0.491 0.735
S10 0.667 0.333 0.337
S11 0.770 0.869 0.605
S12 0.869 0.099 0.105
S13 0.901 0.770 0.105
S14 0.928 0.437 0.735

***

Entry 5:
SbPOF8: optimized geometry, PBE.

Properties
* energy relative to the elements: -2.734 eV per atom
* E_tot: -5.0451 eV per atom

a b c (Å): 5.604 17.513 7.711
angles (deg): 90.00 99.56 90.00
Positions (direct):
Sb1 0.034 0.122 0.261
Sb2 0.034 0.378 0.761
Sb3 0.966 0.622 0.239
Sb4 0.966 0.878 0.739
P1 0.375 0.631 0.644
P2 0.375 0.869 0.144
P3 0.625 0.131 0.856
P4 0.625 0.369 0.356
O1 0.173 0.627 0.496
O2 0.173 0.873 0.996
O3 0.827 0.127 0.004
O4 0.827 0.373 0.504
F1 0.084 0.723 0.211
F2 0.084 0.777 0.711
F3 0.128 0.023 0.199
F4 0.128 0.477 0.699
F5 0.220 0.121 0.490
F6 0.220 0.379 0.990
F7 0.246 0.580 0.168
F8 0.246 0.920 0.668
F9 0.285 0.164 0.151
F10 0.285 0.336 0.651
F11 0.289 0.627 0.822
F12 0.289 0.873 0.322
F13 0.441 0.066 0.852
F14 0.441 0.434 0.352
F15 0.475 0.203 0.847
F16 0.475 0.297 0.347
F17 0.525 0.703 0.653
F18 0.525 0.797 0.153
F19 0.559 0.566 0.648
F20 0.559 0.934 0.148
F21 0.711 0.127 0.678
F22 0.711 0.373 0.178
F23 0.715 0.664 0.349
F24 0.715 0.836 0.849
F25 0.754 0.080 0.332
F26 0.754 0.420 0.832
F27 0.780 0.621 0.010
F28 0.780 0.879 0.510
F29 0.872 0.523 0.301
F30 0.872 0.977 0.801
F31 0.916 0.223 0.289
F32 0.916 0.277 0.789

***

Entry 6:
Rb2ZnN4: optimized geometry, PBE.

Properties
* energy relative to the elements: 1.376 eV per atom
* E_tot: -3.6416 eV per atom
* magnetization: 8.00 μB per formula unit

a b c (Å): 8.409 6.667 13.272
angles (deg): 90.00 110.34 90.00
Positions (direct):
Rb1 0.037 0.201 0.350
Rb2 0.037 0.299 0.850
Rb3 0.420 0.739 0.091
Rb4 0.420 0.761 0.591
Rb5 0.580 0.239 0.409
Rb6 0.580 0.261 0.909
Rb7 0.963 0.701 0.150
Rb8 0.963 0.799 0.650
Zn1 0.208 0.224 0.136
Zn2 0.208 0.276 0.636
Zn3 0.792 0.724 0.364
Zn4 0.792 0.776 0.864
N1 0.035 0.748 0.445
N2 0.035 0.752 0.945
N3 0.249 0.519 0.720
N4 0.249 0.981 0.220
N5 0.262 0.067 0.745
N6 0.262 0.433 0.245
N7 0.340 0.249 0.545
N8 0.340 0.251 0.045
N9 0.660 0.749 0.955
N10 0.660 0.751 0.455
N11 0.738 0.567 0.755
N12 0.738 0.933 0.255
N13 0.751 0.019 0.780
N14 0.751 0.481 0.280
N15 0.965 0.248 0.055
N16 0.965 0.252 0.555

***

Entry 7:
Y2Br3: optimized geometry, PBE.

Properties
* energy relative to the elements: -1.856 eV per atom
* E_tot: -5.1040 eV per atom

a b c (Å): 8.843 8.843 11.014
angles (deg): 120.62 120.62 25.75
Positions (direct):
Y1 0.078 0.078 0.456
Y2 0.366 0.366 0.215
Y3 0.634 0.634 0.785
Y4 0.922 0.922 0.544
Br1 0.163 0.163 0.007
Br2 0.280 0.280 0.380
Br3 0.458 0.458 0.763
Br4 0.542 0.542 0.237
Br5 0.720 0.720 0.620
Br6 0.837 0.837 0.993

***

Entry 8:
CeSe2: optimized geometry, PBE.

Properties
* energy relative to the elements: -1.135 eV per atom
* E_tot: -5.1288 eV per atom
* magnetization: 0.00 μB per formula unit

a b c (Å): 14.341 14.341 14.341
angles (deg): 109.47 109.47 109.47
Positions (direct):
Ce1 0.138 0.500 0.862
Ce2 0.138 0.638 0.276
Ce3 0.276 0.138 0.638
Ce4 0.362 0.500 0.638
Ce5 0.362 0.862 0.724
Ce6 0.500 0.638 0.362
Ce7 0.500 0.862 0.138
Ce8 0.638 0.276 0.138
Ce9 0.638 0.362 0.500
Ce10 0.724 0.362 0.862
Ce11 0.862 0.138 0.500
Ce12 0.862 0.724 0.362
Se1 0.000 0.379 0.621
Se2 0.000 0.621 0.379
Se3 0.084 0.167 0.584
Se4 0.084 0.916 0.500
Se5 0.167 0.584 0.084
Se6 0.242 0.621 0.621
Se7 0.379 0.000 0.621
Se8 0.379 0.379 0.758
Se9 0.379 0.621 0.000
Se10 0.379 0.758 0.379
Se11 0.416 0.584 0.500
Se12 0.416 0.833 0.916
Se13 0.500 0.084 0.916
Se14 0.500 0.416 0.584
Se15 0.584 0.084 0.167
Se16 0.584 0.500 0.416
Se17 0.621 0.000 0.379
Se18 0.621 0.242 0.621
Se19 0.621 0.379 0.000
Se20 0.621 0.621 0.242
Se21 0.758 0.379 0.379
Se22 0.833 0.916 0.416
Se23 0.916 0.416 0.833
Se24 0.916 0.500 0.084